Material: InAg3P2O8
Method: DFT, PBE
State: relaxed

Output
The space-group type is C2/m, No. 12. The value obtained for the total magnetization is 0.0 μB/f.u. The energy relative to the elements is -1.858 eV per atom.

a = 5.235 Å, b = 5.235 Å, c = 7.457 Å
α = 86.46°, β = 86.46°, γ = 64.80°
Fractional positions:
In (0.000, 0.000, 0.000)
Ag (0.332, 0.332, 0.679)
Ag (0.668, 0.668, 0.321)
Ag (0.000, 0.000, 0.500)
P (0.661, 0.661, 0.791)
P (0.339, 0.339, 0.209)
O (0.244, 0.244, 0.393)
O (0.763, 0.763, 0.950)
O (0.670, 0.221, 0.203)
O (0.779, 0.330, 0.797)
O (0.237, 0.237, 0.050)
O (0.221, 0.670, 0.203)
O (0.330, 0.779, 0.797)
O (0.756, 0.756, 0.607)


Material: La4Ti5Te3O24
Method: DFT, PBE
State: relaxed

Output
The space-group type is P1, No. 1. The value obtained for the total magnetization is 0.0 μB/f.u. The energy relative to the elements is -3.078 eV per atom.

a = 7.423 Å, b = 7.424 Å, c = 10.529 Å
α = 109.98°, β = 110.39°, γ = 91.19°
Fractional positions:
La (0.001, 0.999, 0.005)
La (0.498, 0.503, 0.001)
La (0.997, 0.499, 0.493)
La (0.498, 0.996, 0.502)
Ti (0.095, 0.572, 0.170)
Ti (0.572, 0.101, 0.176)
Ti (0.078, 0.090, 0.672)
Ti (0.578, 0.572, 0.653)
Ti (0.413, 0.423, 0.338)
Te (0.916, 0.912, 0.331)
Te (0.909, 0.426, 0.838)
Te (0.418, 0.912, 0.833)
O (0.458, 0.330, 0.500)
O (0.955, 0.822, 0.490)
O (0.959, 0.333, 0.017)
O (0.454, 0.827, 0.994)
O (0.332, 0.141, 0.188)
O (0.827, 0.648, 0.188)
O (0.833, 0.117, 0.677)
O (0.324, 0.650, 0.685)
O (0.150, 0.459, 0.319)
O (0.647, 0.955, 0.313)
O (0.628, 0.465, 0.812)
O (0.151, 0.954, 0.815)
O (0.531, 0.667, 0.495)
O (0.038, 0.161, 0.494)
O (0.046, 0.681, 0.013)
O (0.537, 0.164, 0.997)
O (0.667, 0.353, 0.311)
O (0.167, 0.858, 0.320)
O (0.185, 0.341, 0.804)
O (0.667, 0.858, 0.818)
O (0.353, 0.539, 0.186)
O (0.860, 0.037, 0.189)
O (0.842, 0.554, 0.676)
O (0.364, 0.030, 0.688)


Material: Te16Rh9
Method: DFT, PBE
State: relaxed

Output
The space-group type is P-1, No. 2. The value obtained for the total magnetization is 0.0 μB/f.u. The energy relative to the elements is -0.393 eV per atom.

a = 15.995 Å, b = 11.956 Å, c = 8.835 Å
α = 42.12°, β = 47.36°, γ = 33.15°
Fractional positions:
Te (0.042, 0.206, 0.546)
Te (0.049, 0.700, 0.042)
Te (0.293, 0.197, 0.552)
Te (0.207, 0.297, 0.955)
Te (0.293, 0.703, 0.045)
Te (0.207, 0.803, 0.448)
Te (0.542, 0.209, 0.547)
Te (0.451, 0.300, 0.958)
Te (0.546, 0.702, 0.040)
Te (0.458, 0.794, 0.454)
Te (0.798, 0.207, 0.530)
Te (0.703, 0.296, 0.968)
Te (0.797, 0.704, 0.032)
Te (0.702, 0.793, 0.470)
Te (0.954, 0.298, 0.960)
Te (0.958, 0.791, 0.453)
Rh (0.250, 0.246, 0.254)
Rh (0.007, 0.750, 0.736)
Rh (0.493, 0.250, 0.264)
Rh (0.750, 0.000, 0.000)
Rh (0.250, 0.754, 0.746)
Rh (0.752, 0.242, 0.258)
Rh (0.499, 0.744, 0.752)
Rh (0.001, 0.256, 0.248)
Rh (0.748, 0.758, 0.742)


Material: SrPrEuSbO6
Method: DFT, PBE
State: relaxed

Output
The space-group type is F-43m, No. 216. The value obtained for the total magnetization is 7.0 μB/f.u. The energy relative to the elements is -2.890 eV per atom. The value obtained for the energy above the most stable polymorph in this dataset is 0.108 eV per atom.

a = 6.078 Å, b = 6.078 Å, c = 6.078 Å
α = 60.00°, β = 60.00°, γ = 60.00°
Fractional positions:
Sr (0.250, 0.250, 0.250)
Pr (0.000, 0.000, 0.000)
Eu (0.750, 0.750, 0.750)
Sb (0.500, 0.500, 0.500)
O (0.732, 0.268, 0.268)
O (0.268, 0.732, 0.732)
O (0.732, 0.268, 0.732)
O (0.268, 0.732, 0.268)
O (0.732, 0.732, 0.268)
O (0.268, 0.268, 0.732)